DFT (PBE) results for crystalline Na2ScTaSiP2O12 at its relaxed geometry.

Cell and atoms, written as extended XYZ:
```
114
Lattice="7.7096 -4.4833 0.0000 7.7096 4.4833 0.0000 -0.0755 0.0000 22.8107" Properties=species:S:1:pos:R:3 pbc="T T T"
Na 7.6718 4.4749 11.4054
Na 7.3991 1.5394 2.0034
Na 7.8419 1.7054 9.5500
Na 5.0748 0.0180 15.2014
Na 5.1126 -0.0180 3.7961
Na 10.3946 2.7821 5.8031
Na 7.3613 -1.5394 13.4088
Na 10.1974 0.0942 19.0001
Na 10.2352 -0.0942 7.5947
Na 7.8041 -1.7054 20.9554
Na 10.3569 -2.7821 17.2085
Na 7.7096 -4.4749 0.0000
Sc 4.9753 0.0329 11.9506
Sc 5.0131 -0.0329 0.5452
Sc 10.1134 0.0386 15.7479
Sc 10.1512 -0.0386 4.3425
Sc 15.3749 0.0020 8.1397
Sc 15.3371 -0.0020 19.5451
Ta 5.0937 0.0117 7.2519
Ta 5.0559 -0.0117 18.6573
Ta 10.2150 0.0536 11.0475
Ta 10.1772 -0.0536 22.4529
Ta 15.3382 0.0349 3.4471
Ta 15.3004 -0.0349 14.8525
Si 2.7745 1.2950 21.0141
Si 7.6268 1.8667 5.8216
Si 2.8123 -1.2950 9.6087
Si 7.9191 1.3259 13.4101
Si 7.9569 -1.3259 2.0047
Si 7.5890 -1.8667 17.2269
P 5.0275 2.6002 9.6160
P 9.8460 3.1785 17.2333
P 7.2610 1.3198 21.0644
P 10.2222 2.5949 2.0452
P 4.9897 -2.6002 21.0213
P 7.2988 -1.3198 9.6590
P 12.4275 1.2860 13.4365
P 13.1278 1.3148 5.8338
P 12.4652 -1.2860 2.0311
P 10.1844 -2.5949 13.4506
P 9.8837 -3.1785 5.8279
P 13.0900 -1.3148 17.2392
O 6.2448 3.4963 9.4215
O 6.2991 3.4496 15.9697
O 1.4756 0.6160 4.5726
O 3.7114 1.0176 19.6505
O 4.8388 1.6441 8.3535
O 3.6617 0.9550 13.2903
O 5.0189 1.7047 1.8507
O 3.4763 0.6854 22.3000
O 5.3101 1.7236 10.8271
O 7.4192 2.8513 4.4702
O 1.4378 -0.6160 15.9780
O 5.2483 1.5901 17.3581
O 3.5557 0.5335 5.9406
O 8.9912 3.6996 9.5136
O 7.4353 2.8020 20.8560
O 7.8307 2.9712 13.5774
O 8.8733 3.4359 2.1531
O 7.8602 2.7667 7.1360
O 9.0090 3.4420 18.4600
O 3.5179 -0.5335 17.3460
O 6.2630 0.9322 5.9712
O 3.5141 -0.6854 10.8946
O 6.4718 1.0249 22.3282
O 3.6995 -0.9550 1.8849
O 6.4859 0.6100 13.2492
O 3.7492 -1.0176 8.2451
O 6.5670 0.5933 19.8137
O 9.9857 1.6441 0.8008
O 8.8974 1.0131 12.0596
O 10.0853 1.6907 17.0596
O 8.9755 0.9779 5.6891
O 10.3951 1.7863 3.3227
O 6.5237 -0.6100 1.8438
O 8.6136 0.6066 14.6603
O 6.6048 -0.5933 8.4083
O 4.8010 -1.6441 19.7588
O 8.6636 0.5827 21.1536
O 10.4000 1.4998 9.7594
O 6.2252 -0.9322 17.3766
O 4.9811 -1.7047 13.2561
O 5.2861 -1.5901 5.9527
O 5.2723 -1.7236 22.2325
O 6.5095 -1.0249 10.9228
O 11.3973 1.0439 21.1661
O 8.6514 -0.6066 3.2549
O 8.7014 -0.5827 9.7482
O 11.5955 1.0072 14.6596
O 11.7122 0.7802 5.6366
O 8.9377 -0.9779 17.0945
O 8.9352 -1.0131 0.6542
O 11.7407 0.6295 12.1635
O 6.2070 -3.4963 20.8268
O 6.3369 -3.4496 4.5643
O 7.4731 -2.8020 9.4506
O 7.3814 -2.8513 15.8756
O 13.7737 0.7306 7.0565
O 7.8224 -2.7667 18.5414
O 9.9479 -1.6441 12.2062
O 11.7785 -0.6295 0.7581
O 13.8568 0.6047 13.5453
O 7.8685 -2.9712 2.1721
O 10.3623 -1.4998 21.1648
O 10.1230 -1.6907 5.6543
O 11.6745 -0.7802 17.0419
O 11.4350 -1.0439 9.7607
O 11.6333 -1.0072 3.2542
O 10.3573 -1.7863 14.7281
O 8.8355 -3.4359 13.5584
O 13.8946 -0.6047 2.1399
O 9.0468 -3.4420 7.0546
O 13.7359 -0.7306 18.4619
O 8.9534 -3.6996 20.9189
```

Values from the calculation:
Its spin magnetization is 0.0 μB per formula unit. The calculation puts the corrected total energy (MP2020 scheme) at -8.1382 eV per atom. The value obtained for the theoretical density is 3.5 g/cm³. The symmetry is No. 9. The calculation puts the energy of formation from the pure elements at -3.061 eV/atom. The uncorrected energy is -878.3 eV/cell.